[1]
{"formula": "YbHoPt2", "functional": "r²SCAN", "state": "optimized geometry", "cell": [[0.0000, 3.4340, 3.4340], [3.4340, 0.0000, 3.4340], [3.4340, 3.4340, 0.0000]], "species": ["Yb", "Ho", "Pt", "Pt"], "fractional_positions": [[0.0000, 0.0000, 0.0000], [0.5000, 0.5000, 0.5000], [0.2500, 0.2500, 0.2500], [0.7500, 0.7500, 0.7500]], "m_tot_mub_per_cell": 0.00, "e_form_ev_per_atom": -1.378, "crystal_system": "cubic"}

[2]
{"formula": "YbSmZn2", "functional": "r²SCAN", "state": "optimized geometry", "cell": [[-3.7376, -1.7815, -2.8530], [-3.9194, 2.9394, -1.1319], [-0.6018, 1.6894, -4.6975]], "species": ["Yb", "Sm", "Zn", "Zn"], "fractional_positions": [[0.0000, 0.0000, 0.0000], [0.5000, 0.5000, 0.5000], [0.2500, 0.2500, 0.2500], [0.7500, 0.7500, 0.7500]], "m_tot_mub_per_cell": 0.16, "e_form_ev_per_atom": -0.374, "crystal_system": "cubic"}

[3]
{"formula": "Tb3Ho", "functional": "r²SCAN", "state": "optimized geometry", "cell": [[-2.5129, 2.5129, 5.0338], [2.5129, -2.5129, 5.0338], [2.5129, 2.5129, -5.0338]], "species": ["Tb", "Tb", "Tb", "Ho"], "fractional_positions": [[0.7500, 0.2500, 0.5000], [0.2500, 0.7500, 0.5000], [0.5000, 0.5000, 0.0000], [0.0000, 0.0000, 0.0000]], "m_tot_mub_per_cell": 0.00, "e_form_ev_per_atom": 0.035, "e_above_lowest_polymorph_mev_per_atom": 0, "crystal_system": "tetragonal"}

[4]
{"formula": "Ti5SiSb2", "functional": "r²SCAN", "state": "optimized geometry", "cell": [[4.7530, -1.2621, 1.3628], [1.5042, -7.2570, -2.4126], [4.9111, 2.0174, -5.7061]], "species": ["Ti", "Ti", "Ti", "Ti", "Ti", "Ti", "Ti", "Ti", "Ti", "Ti", "Si", "Si", "Sb", "Sb", "Sb", "Sb"], "fractional_positions": [[0.2500, 0.5000, 0.5000], [0.7500, 0.5000, 0.5000], [0.0726, 0.1364, 0.7182], [0.9274, 0.8636, 0.2818], [0.7909, 0.2818, 0.1363], [0.4274, 0.2818, 0.8636], [0.2091, 0.7182, 0.8637], [0.5726, 0.7182, 0.1364], [0.7091, 0.8637, 0.7182], [0.2909, 0.1363, 0.2818], [0.2500, 0.0000, 0.0000], [0.7500, 0.0000, 0.0000], [0.1644, 0.5000, 0.1717], [0.8356, 0.5000, 0.8283], [0.3356, 0.8283, 0.5000], [0.6644, 0.1717, 0.5000]], "m_tot_mub_per_cell": 0.00, "e_form_ev_per_atom": -0.683, "crystal_system": "tetragonal"}

[5]
{"formula": "Ho2TlZn", "functional": "r²SCAN", "state": "optimized geometry", "cell": [[0.0000, 3.6489, 3.6489], [3.6489, 0.0000, 3.6489], [3.6489, 3.6489, 0.0000]], "species": ["Ho", "Ho", "Tl", "Zn"], "fractional_positions": [[0.7500, 0.7500, 0.7500], [0.2500, 0.2500, 0.2500], [0.5000, 0.5000, 0.5000], [0.0000, 0.0000, 0.0000]], "m_tot_mub_per_cell": 0.00, "e_form_ev_per_atom": -0.401, "crystal_system": "cubic"}

[6]
{"formula": "SrGe2Ru2", "functional": "r²SCAN", "state": "optimized geometry", "cell": [[4.0323, 0.0000, -1.5549], [-0.5996, 3.9874, -1.5549], [-0.0010, -0.0012, 6.0031]], "species": ["Sr", "Ge", "Ge", "Ru", "Ru"], "fractional_positions": [[0.0000, 0.0000, 0.0000], [0.6422, 0.6422, 0.2844], [0.3578, 0.3578, 0.7156], [0.2500, 0.7500, 0.5000], [0.7500, 0.2500, 0.5000]], "m_tot_mub_per_cell": 0.00, "e_form_ev_per_atom": -0.544, "crystal_system": "tetragonal"}

[7]
{"formula": "Yb3Er", "functional": "r²SCAN", "state": "optimized geometry", "cell": [[3.5515, -6.1513, 0.0000], [3.5515, 6.1513, 0.0000], [0.0000, 0.0000, 5.4825]], "species": ["Yb", "Yb", "Yb", "Yb", "Yb", "Yb", "Er", "Er"], "fractional_positions": [[0.1669, 0.3338, 0.2500], [0.6662, 0.8331, 0.2500], [0.1669, 0.8331, 0.2500], [0.8331, 0.6662, 0.7500], [0.3338, 0.1669, 0.7500], [0.8331, 0.1669, 0.7500], [0.3333, 0.6667, 0.7500], [0.6667, 0.3333, 0.2500]], "m_tot_mub_per_cell": 0.00, "e_form_ev_per_atom": -0.008, "crystal_system": "hexagonal"}

[8]
{"formula": "HfO2", "functional": "r²SCAN", "state": "optimized geometry", "cell": [[5.0279, 0.0000, -0.8189], [0.0000, 5.1506, 0.0000], [-0.0284, 0.0000, 5.2761]], "species": ["Hf", "Hf", "Hf", "Hf", "O", "O", "O", "O", "O", "O", "O", "O"], "fractional_positions": [[0.2761, 0.4581, 0.7079], [0.7239, 0.9581, 0.7921], [0.7239, 0.5419, 0.2921], [0.2761, 0.0419, 0.2079], [0.4480, 0.7425, 0.9786], [0.5520, 0.2425, 0.5214], [0.5520, 0.2575, 0.0214], [0.4480, 0.7575, 0.4786], [0.0684, 0.3308, 0.3463], [0.9316, 0.8308, 0.1537], [0.9316, 0.6692, 0.6537], [0.0684, 0.1692, 0.8463]], "m_tot_mub_per_cell": 0.00, "e_form_ev_per_atom": -3.907, "crystal_system": "monoclinic"}

[9]
{"formula": "NaTmTl2", "functional": "r²SCAN", "state": "optimized geometry", "cell": [[-2.1180, -4.5769, -1.4684], [-5.0550, -0.2225, -1.4096], [-1.2916, -0.8033, -5.0276]], "species": ["Na", "Tm", "Tl", "Tl"], "fractional_positions": [[0.2500, 0.2500, 0.2500], [0.7500, 0.7500, 0.7500], [0.0000, 0.0000, 0.0000], [0.5000, 0.5000, 0.5000]], "m_tot_mub_per_cell": 0.00, "e_form_ev_per_atom": -0.289, "crystal_system": "cubic"}

[10]
{"formula": "MnBO3", "functional": "r²SCAN", "state": "optimized geometry", "cell": [[-3.7777, -1.6679, 2.2108], [2.7535, -4.2849, 1.9601], [2.3079, 2.1365, 6.6356]], "species": ["Mn", "Mn", "Mn", "Mn", "B", "B", "B", "B", "O", "O", "O", "O", "O", "O", "O", "O", "O", "O", "O", "O"], "fractional_positions": [[0.5000, 0.5000, 0.5000], [0.5000, 0.5000, 0.0000], [0.0000, 0.0000, 0.0000], [0.0000, 0.0000, 0.5000], [0.0064, 0.5068, 0.2429], [0.5066, 0.0071, 0.7431], [0.9936, 0.4932, 0.7571], [0.4934, 0.9929, 0.2569], [0.8007, 0.9990, 0.7369], [0.3006, 0.4984, 0.2368], [0.1462, 0.6456, 0.6044], [0.6459, 0.1454, 0.1043], [0.6385, 0.8359, 0.3998], [0.1386, 0.3360, 0.9000], [0.3615, 0.1641, 0.6002], [0.8613, 0.6640, 0.1000], [0.8538, 0.3544, 0.3956], [0.3541, 0.8546, 0.8957], [0.1993, 0.0010, 0.2631], [0.6994, 0.5016, 0.7631]], "m_tot_mub_per_cell": 16.00, "e_form_ev_per_atom": -2.354}

[11]
{"formula": "Cs2CdI4", "functional": "r²SCAN", "state": "optimized geometry", "cell": [[-4.0695, 7.5208, 1.0176], [-8.0326, -5.0953, 5.5355], [7.4632, 2.2880, 12.9358]], "species": ["Cs", "Cs", "Cs", "Cs", "Cs", "Cs", "Cs", "Cs", "Cd", "Cd", "Cd", "Cd", "I", "I", "I", "I", "I", "I", "I", "I", "I", "I", "I", "I", "I", "I", "I", "I"], "fractional_positions": [[0.2500, 0.4783, 0.1691], [0.2500, 0.6152, 0.5765], [0.7500, 0.3848, 0.4235], [0.2500, 0.1152, 0.9235], [0.2500, 0.9783, 0.3309], [0.7500, 0.5217, 0.8309], [0.7500, 0.8848, 0.0765], [0.7500, 0.0217, 0.6691], [0.2500, 0.7236, 0.9247], [0.2500, 0.2236, 0.5753], [0.7500, 0.2764, 0.0753], [0.7500, 0.7764, 0.4247], [0.0116, 0.1716, 0.1543], [0.5116, 0.3284, 0.6543], [0.7500, 0.1831, 0.9019], [0.2500, 0.4716, 0.9083], [0.4884, 0.6716, 0.3457], [0.2500, 0.8169, 0.0981], [0.5116, 0.8284, 0.8457], [0.7500, 0.6831, 0.5981], [0.7500, 0.0284, 0.4083], [0.7500, 0.5284, 0.0917], [0.4884, 0.1716, 0.1543], [0.9884, 0.3284, 0.6543], [0.2500, 0.3169, 0.4019], [0.9884, 0.8284, 0.8457], [0.2500, 0.9716, 0.5917], [0.0116, 0.6716, 0.3457]], "m_tot_mub_per_cell": 0.00, "e_form_ev_per_atom": -1.353, "e_above_lowest_polymorph_mev_per_atom": 8, "crystal_system": "orthorhombic"}

[12]
{"formula": "Sc4Si6Ir7", "functional": "r²SCAN", "state": "optimized geometry", "cell": [[-4.0171, 4.0171, 4.0171], [4.0171, -4.0171, 4.0171], [4.0171, 4.0171, -4.0171]], "species": ["Sc", "Sc", "Sc", "Sc", "Si", "Si", "Si", "Si", "Si", "Si", "Ir", "Ir", "Ir", "Ir", "Ir", "Ir", "Ir"], "fractional_positions": [[0.0000, 0.0000, 0.5000], [0.0000, 0.5000, 0.0000], [0.5000, 0.0000, 0.0000], [0.5000, 0.5000, 0.5000], [0.6819, 0.6819, 0.0000], [0.3181, 0.0000, 0.3181], [0.0000, 0.3181, 0.3181], [0.3181, 0.3181, 0.0000], [0.6819, 0.0000, 0.6819], [0.0000, 0.6819, 0.6819], [0.7500, 0.2500, 0.5000], [0.7500, 0.5000, 0.2500], [0.5000, 0.2500, 0.7500], [0.2500, 0.5000, 0.7500], [0.2500, 0.7500, 0.5000], [0.5000, 0.7500, 0.2500], [0.0000, 0.0000, 0.0000]], "m_tot_mub_per_cell": 0.00, "e_form_ev_per_atom": -1.134, "crystal_system": "cubic"}